Na2V16Mo2O45 | the Materials Project database | GGA+U | relaxed; raw total energy = -475.63 eV per cell; magnetization = 4.0 Bohr magnetons per cell; ΔH_f (0 K) = -2.274 eV per atom
1.0
9.697 0.000 0.000
3.340 9.104 0.000
4.788 1.079 9.759
Na V Mo O
2 16 2 45
Cartesian
0.000 0.000 0.000
4.761 5.584 2.057
7.790 7.728 6.874
4.599 0.983 4.744
6.587 9.142 1.880
3.643 2.571 0.117
6.974 2.628 6.976
7.212 5.048 4.898
9.880 4.690 6.879
9.981 6.985 4.679
8.686 6.108 1.860
9.109 8.646 0.144
9.347 2.072 4.858
12.023 1.630 6.852
12.131 3.987 4.681
10.820 3.067 1.851
11.212 5.604 0.149
14.799 8.107 4.887
12.412 8.744 6.984
14.603 5.666 6.977
2.761 6.468 0.735
3.283 2.251 5.174
6.506 9.167 6.361
6.472 6.797 8.130
2.141 3.776 0.299
2.604 1.846 1.688
6.267 6.657 5.554
6.440 9.027 3.681
5.335 8.278 1.304
6.328 4.376 6.650
6.469 2.281 8.499
8.650 8.465 8.059
5.837 1.813 5.925
6.211 4.505 3.726
5.194 1.419 3.306
4.833 3.477 0.716
8.699 8.355 5.147
8.632 3.768 8.062
8.710 6.035 6.388
4.290 0.769 0.317
8.076 7.935 1.697
8.538 6.011 3.689
8.430 3.574 5.401
7.409 5.292 1.326
8.421 1.428 6.641
11.909 8.372 8.584
10.823 5.354 7.998
11.216 7.896 5.942
8.395 1.376 3.769
10.663 7.449 3.289
10.790 5.376 5.156
7.044 0.353 0.695
14.059 9.868 8.068
10.892 3.108 6.356
9.718 6.822 0.304
10.157 4.860 1.695
10.439 0.633 5.450
10.618 2.918 3.696
13.865 7.486 6.650
9.621 2.154 1.279
14.054 5.307 8.570
12.984 2.213 8.021
13.393 4.866 5.918
13.916 7.369 3.722
12.728 4.402 3.202